Crystalline K2AgI3 at its relaxed geometry. Source: the Materials Project, functional meta-GGA r2SCAN.

Total moment: 0.000 μB/atom

The structure in CIF format:
```
data_K2AgI3
_symmetry_space_group_name_H-M 'P n m a'
_symmetry_Int_Tables_number 62
_cell_length_a 10.073
_cell_length_b 4.817
_cell_length_c 19.637
_cell_angle_alpha 90.00
_cell_angle_beta 90.00
_cell_angle_gamma 90.00
loop_
_symmetry_equiv_pos_as_xyz
'x,y,z'
'-x,-y,-z'
'-x+1/2,-y,z+1/2'
'x+1/2,y,-z+1/2'
'x+1/2,-y+1/2,-z+1/2'
'-x+1/2,y+1/2,z+1/2'
'-x,y+1/2,-z'
'x,-y+1/2,z'
loop_
_atom_site_label
_atom_site_type_symbol
_atom_site_fract_x
_atom_site_fract_y
_atom_site_fract_z
K1 K 0.078 0.250 0.213
K2 K 0.249 0.250 0.961
Ag1 Ag 0.127 0.250 0.636
I1 I 0.011 0.250 0.402
I2 I 0.120 0.750 0.072
I3 I 0.189 0.250 0.778
```

=====

Crystalline AgIO3 at its relaxed geometry. Source: the Materials Project, functional meta-GGA r2SCAN.

Total moment: 0.000 μB/atom

The structure in CIF format:
```
data_AgIO3
_symmetry_space_group_name_H-M 'P c a 21'
_symmetry_Int_Tables_number 29
_cell_length_a 15.254
_cell_length_b 7.239
_cell_length_c 5.669
_cell_angle_alpha 90.00
_cell_angle_beta 90.00
_cell_angle_gamma 90.00
loop_
_symmetry_equiv_pos_as_xyz
'x,y,z'
'-x,-y,z+1/2'
'-x+1/2,y,z+1/2'
'x+1/2,-y,z'
loop_
_atom_site_label
_atom_site_type_symbol
_atom_site_fract_x
_atom_site_fract_y
_atom_site_fract_z
Ag1 Ag 0.205 0.100 0.000
Ag2 Ag 0.208 0.625 0.991
I1 I 0.087 0.860 0.517
I2 I 0.088 0.364 0.588
O1 O 0.068 0.175 0.797
O2 O 0.071 0.555 0.794
O3 O 0.104 0.053 0.315
O4 O 0.113 0.668 0.319
O5 O 0.194 0.868 0.664
O6 O 0.207 0.360 0.613
```

=====

Crystalline Li2InAg at its relaxed geometry. Source: the Materials Project, functional meta-GGA r2SCAN.

Total moment: 0.000 μB/atom

The structure in CIF format:
```
data_Li2InAg
_symmetry_space_group_name_H-M 'F -4 3 m'
_symmetry_Int_Tables_number 216
_symmetry_space_group_name_Hall 'F -4 2 3'
_cell_length_a 6.539
_cell_length_b 6.539
_cell_length_c 6.539
_cell_angle_alpha 90.00
_cell_angle_beta 90.00
_cell_angle_gamma 90.00
loop_
_atom_site_label
_atom_site_type_symbol
_atom_site_fract_x
_atom_site_fract_y
_atom_site_fract_z
Li1 Li 0.000 0.000 0.000
Li2 Li 0.250 0.250 0.250
In1 In 0.250 0.250 0.750
Ag1 Ag 0.000 0.000 0.500
```

=====

Crystalline NdInAg2 at its relaxed geometry. Source: the Materials Project, functional meta-GGA r2SCAN.

Total moment: 0.000 μB/atom

The structure in CIF format:
```
data_NdInAg2
_symmetry_space_group_name_H-M 'F m -3 m'
_symmetry_Int_Tables_number 225
_symmetry_space_group_name_Hall '-F 4 2 3'
_cell_length_a 7.090
_cell_length_b 7.090
_cell_length_c 7.090
_cell_angle_alpha 90.00
_cell_angle_beta 90.00
_cell_angle_gamma 90.00
loop_
_atom_site_label
_atom_site_type_symbol
_atom_site_fract_x
_atom_site_fract_y
_atom_site_fract_z
Nd1 Nd 0.000 0.000 0.000
In1 In 0.000 0.000 0.500
Ag1 Ag 0.250 0.250 0.250
```

=====

Crystalline Pm2InAg at its relaxed geometry. Source: the Materials Project, functional meta-GGA r2SCAN.

Total moment: 0.074 μB/atom

The structure in CIF format:
```
data_Pm2InAg
_symmetry_space_group_name_H-M 'F m -3 m'
_symmetry_Int_Tables_number 225
_symmetry_space_group_name_Hall '-F 4 2 3'
_cell_length_a 7.590
_cell_length_b 7.590
_cell_length_c 7.590
_cell_angle_alpha 90.00
_cell_angle_beta 90.00
_cell_angle_gamma 90.00
loop_
_atom_site_label
_atom_site_type_symbol
_atom_site_fract_x
_atom_site_fract_y
_atom_site_fract_z
Pm1 Pm 0.250 0.250 0.250
In1 In 0.000 0.000 0.000
Ag1 Ag 0.000 0.000 0.500
```

=====

Crystalline Pr2InAg at its relaxed geometry. Source: the Materials Project, functional meta-GGA r2SCAN.

Total moment: 0.108 μB/atom

The structure in CIF format:
```
data_Pr2InAg
_symmetry_space_group_name_H-M 'F m -3 m'
_symmetry_Int_Tables_number 225
_symmetry_space_group_name_Hall '-F 4 2 3'
_cell_length_a 7.703
_cell_length_b 7.703
_cell_length_c 7.703
_cell_angle_alpha 90.00
_cell_angle_beta 90.00
_cell_angle_gamma 90.00
loop_
_atom_site_label
_atom_site_type_symbol
_atom_site_fract_x
_atom_site_fract_y
_atom_site_fract_z
Pr1 Pr 0.250 0.250 0.250
In1 In 0.000 0.000 0.000
Ag1 Ag 0.000 0.000 0.500
```

=====

Crystalline Pr2InAg at its relaxed geometry. Source: the Materials Project, functional meta-GGA r2SCAN.

Total moment: 0.180 μB/atom

The structure in CIF format:
```
data_Pr2InAg
_symmetry_space_group_name_H-M 'P 4/m m m'
_symmetry_Int_Tables_number 123
_symmetry_space_group_name_Hall '-P 4 2'
_cell_length_a 3.744
_cell_length_b 3.744
_cell_length_c 8.038
_cell_angle_alpha 90.00
_cell_angle_beta 90.00
_cell_angle_gamma 90.00
loop_
_atom_site_label
_atom_site_type_symbol
_atom_site_fract_x
_atom_site_fract_y
_atom_site_fract_z
Pr1 Pr 0.000 0.000 0.239
In1 In 0.500 0.500 0.500
Ag1 Ag 0.500 0.500 0.000
```

=====

Crystalline InAgS2 at its relaxed geometry. Source: the Materials Project, functional meta-GGA r2SCAN.

Total moment: 0.000 μB/atom

The structure in CIF format:
```
data_InAgS2
_symmetry_space_group_name_H-M 'P n a 21'
_symmetry_Int_Tables_number 33
_cell_length_a 7.062
_cell_length_b 8.268
_cell_length_c 6.752
_cell_angle_alpha 90.00
_cell_angle_beta 90.00
_cell_angle_gamma 90.00
loop_
_symmetry_equiv_pos_as_xyz
'x,y,z'
'-x,-y,z+1/2'
'-x+1/2,y+1/2,z+1/2'
'x+1/2,-y+1/2,z'
loop_
_atom_site_label
_atom_site_type_symbol
_atom_site_fract_x
_atom_site_fract_y
_atom_site_fract_z
In1 In 0.077 0.127 0.000
Ag1 Ag 0.087 0.627 0.007
S1 S 0.075 0.120 0.368
S2 S 0.090 0.627 0.384
```

=====

Crystalline InAgS2 at its relaxed geometry. Source: the Materials Project, functional meta-GGA r2SCAN.

Total moment: 0.000 μB/atom

The structure in CIF format:
```
data_InAgS2
_symmetry_space_group_name_H-M 'I -4 2 d'
_symmetry_Int_Tables_number 122
_symmetry_space_group_name_Hall 'I -4 2bw'
_cell_length_a 5.874
_cell_length_b 5.874
_cell_length_c 11.395
_cell_angle_alpha 90.00
_cell_angle_beta 90.00
_cell_angle_gamma 90.00
loop_
_atom_site_label
_atom_site_type_symbol
_atom_site_fract_x
_atom_site_fract_y
_atom_site_fract_z
In1 In 0.000 0.000 0.000
Ag1 Ag 0.000 0.000 0.500
S1 S 0.239 0.750 0.125
```

=====

Crystalline In5AgTe8 at its relaxed geometry. Source: the Materials Project, functional meta-GGA r2SCAN.

Total moment: 0.000 μB/atom
Excess energy over the best structure of this formula in the dataset: 0.0 meV per atom

The structure in CIF format:
```
data_In5AgTe8
_symmetry_space_group_name_H-M 'C 1 2 1'
_symmetry_Int_Tables_number 5
_cell_length_a 8.961
_cell_length_b 12.576
_cell_length_c 8.965
_cell_angle_alpha 90.00
_cell_angle_beta 90.24
_cell_angle_gamma 90.00
loop_
_symmetry_equiv_pos_as_xyz
'x,y,z'
'-x,y,-z'
'x+1/2,y+1/2,z'
'-x+1/2,y+1/2,-z'
loop_
_atom_site_label
_atom_site_type_symbol
_atom_site_fract_x
_atom_site_fract_y
_atom_site_fract_z
In1 In 0.000 0.000 0.000
In2 In 0.000 0.010 0.500
In3 In 0.000 0.522 0.500
In4 In 0.237 0.761 0.246
Ag1 Ag 0.000 0.513 0.000
Te1 Te 0.016 0.146 0.248
Te2 Te 0.028 0.647 0.754
Te3 Te 0.244 0.376 0.019
Te4 Te 0.246 0.377 0.478
```

=====

Crystalline In5AgTe8 at its relaxed geometry. Source: the Materials Project, functional meta-GGA r2SCAN.

Total moment: 0.000 μB/atom
Excess energy over the best structure of this formula in the dataset: 4.1 meV per atom

The structure in CIF format:
```
data_In5AgTe8
_symmetry_space_group_name_H-M 'P -4 2 m'
_symmetry_Int_Tables_number 111
_cell_length_a 6.288
_cell_length_b 6.288
_cell_length_c 12.775
_cell_angle_alpha 90.00
_cell_angle_beta 90.00
_cell_angle_gamma 90.00
loop_
_symmetry_equiv_pos_as_xyz
'x,y,z'
'y,-x,-z'
'-x,-y,z'
'-y,x,-z'
'x,-y,-z'
'y,x,z'
'-x,y,-z'
'-y,-x,z'
loop_
_atom_site_label
_atom_site_type_symbol
_atom_site_fract_x
_atom_site_fract_y
_atom_site_fract_z
In1 In 0.000 0.000 0.000
In2 In 0.000 0.500 0.256
Ag1 Ag 0.500 0.500 0.500
Te1 Te 0.231 0.231 0.614
Te2 Te 0.273 0.273 0.114
```

=====

Crystalline TmInAg2 at its relaxed geometry. Source: the Materials Project, functional meta-GGA r2SCAN.

Total moment: 0.000 μB/atom

The structure in CIF format:
```
data_TmInAg2
_symmetry_space_group_name_H-M 'F m -3 m'
_symmetry_Int_Tables_number 225
_symmetry_space_group_name_Hall '-F 4 2 3'
_cell_length_a 6.882
_cell_length_b 6.882
_cell_length_c 6.882
_cell_angle_alpha 90.00
_cell_angle_beta 90.00
_cell_angle_gamma 90.00
loop_
_atom_site_label
_atom_site_type_symbol
_atom_site_fract_x
_atom_site_fract_y
_atom_site_fract_z
Tm1 Tm 0.000 0.000 0.000
In1 In 0.000 0.000 0.500
Ag1 Ag 0.250 0.250 0.250
```

=====

Number 1: DFT formation energy -7.4 eV/f.u., E_tot -458.04 eV/cell. Number 2: DFT formation energy -1.8 eV/f.u., E_tot -524.99 eV/cell. Number 3: DFT formation energy -1.3 eV/f.u., E_tot -200.11 eV/cell. Number 4: DFT formation energy -1.7 eV/f.u., E_tot -385.50 eV/cell. Number 5: DFT formation energy -1.9 eV/f.u., E_tot -419.51 eV/cell. Number 6: DFT formation energy -1.7 eV/f.u., E_tot -417.90 eV/cell. Number 7: DFT formation energy -1.7 eV/f.u., E_tot -104.48 eV/cell. Number 8: DFT formation energy -2.2 eV/f.u., E_tot -248.95 eV/cell. Number 9: DFT formation energy -2.2 eV/f.u., E_tot -248.96 eV/cell. Number 10: DFT formation energy -6.1 eV/f.u., E_tot -687.39 eV/cell. Number 11: DFT formation energy -6.1 eV/f.u., E_tot -343.64 eV/cell. Number 12: DFT formation energy -1.6 eV/f.u., E_tot -407.98 eV/cell.